(1)
A relaxed Li4V3P8O29 crystal, computed with PBE+U.

```
Li4V3P8O29
1.0
9.778 0.000 0.000
4.884 8.481 0.000
0.052 0.103 14.290
Li V P O
8 6 16 58
direct
0.000 0.000 0.000 Li
0.002 0.582 0.492 Li
0.080 0.824 0.611 Li
0.440 0.572 0.954 Li
0.467 0.988 0.497 Li
0.711 0.944 0.049 Li
0.859 0.138 0.491 Li
0.874 0.569 0.002 Li
0.203 0.910 0.809 V
0.207 0.473 0.304 V
0.339 0.908 0.301 V
0.340 0.332 0.810 V
0.768 0.345 0.304 V
0.775 0.476 0.800 V
0.006 0.590 0.713 P
0.080 0.683 0.895 P
0.091 0.818 0.395 P
0.097 0.247 0.928 P
0.104 0.237 0.425 P
0.434 0.573 0.690 P
0.437 0.578 0.188 P
0.453 0.994 0.715 P
0.465 0.135 0.212 P
0.543 0.221 0.395 P
0.552 0.816 0.895 P
0.684 0.683 0.392 P
0.685 0.216 0.891 P
0.857 0.139 0.710 P
0.858 0.594 0.212 P
0.995 0.997 0.215 P
0.011 0.909 0.482 O
0.016 0.660 0.621 O
0.022 0.989 0.722 O
0.027 0.565 0.227 O
0.078 0.277 0.030 O
0.096 0.096 0.897 O
0.103 0.389 0.390 O
0.104 0.223 0.529 O
0.109 0.652 0.397 O
0.112 0.824 0.897 O
0.153 0.430 0.736 O
0.153 0.998 0.229 O
0.244 0.531 0.887 O
0.248 0.243 0.884 O
0.249 0.811 0.375 O
0.252 0.089 0.380 O
0.286 0.725 0.729 O
0.288 0.585 0.229 O
0.291 0.008 0.742 O
0.309 0.289 0.223 O
0.391 0.381 0.378 O
0.400 0.803 0.889 O
0.429 0.995 0.227 O
0.431 0.429 0.739 O
0.433 0.161 0.730 O
0.438 0.566 0.587 O
0.443 0.725 0.230 O
0.448 0.578 0.084 O
0.510 0.251 0.893 O
0.512 0.925 0.623 O
0.513 0.825 0.394 O
0.541 0.132 0.479 O
0.560 0.110 0.127 O
0.568 0.903 0.974 O
0.572 0.117 0.302 O
0.572 0.888 0.796 O
0.586 0.428 0.232 O
0.587 0.567 0.735 O
0.678 0.378 0.886 O
0.679 0.528 0.378 O
0.687 0.250 0.394 O
0.694 0.641 0.893 O
0.750 0.128 0.792 O
0.755 0.710 0.295 O
0.778 0.107 0.969 O
0.780 0.679 0.474 O
0.787 0.149 0.617 O
0.788 0.667 0.120 O
0.855 0.167 0.226 O
0.856 0.573 0.721 O
0.861 0.435 0.232 O
0.868 0.289 0.735 O
0.952 0.239 0.383 O
0.954 0.395 0.877 O
0.974 0.690 0.971 O
0.979 0.904 0.304 O
0.989 0.926 0.125 O
0.990 0.708 0.795 O
```

Output
**V**: 13.5 Å³ per atom
**E above lowest polymorph**: 0.39 eV per formula unit
**DFT formation energy**: -2.574 eV per atom

(2)
A relaxed NbTlV2O8 crystal, computed with PBE+U.

```
NbTlV2O8
1.0
15.313 0.000 0.000
0.000 5.704 0.000
0.000 0.000 9.197
Nb Tl V O
4 4 8 32
direct
0.160 0.250 0.005 Nb
0.340 0.750 0.505 Nb
0.660 0.250 0.495 Nb
0.840 0.750 0.995 Nb
0.096 0.250 0.564 Tl
0.404 0.750 0.064 Tl
0.596 0.250 0.936 Tl
0.904 0.750 0.436 Tl
0.061 0.750 0.818 V
0.162 0.750 0.254 V
0.338 0.250 0.754 V
0.439 0.250 0.318 V
0.561 0.750 0.682 V
0.662 0.750 0.246 V
0.838 0.250 0.746 V
0.939 0.250 0.182 V
0.037 0.250 0.084 O
0.042 0.750 0.639 O
0.056 0.750 0.288 O
0.123 0.004 0.862 O
0.123 0.496 0.862 O
0.189 0.002 0.151 O
0.189 0.498 0.151 O
0.220 0.750 0.423 O
0.280 0.250 0.923 O
0.311 0.502 0.651 O
0.311 0.998 0.651 O
0.377 0.504 0.362 O
0.377 0.996 0.362 O
0.444 0.250 0.788 O
0.458 0.250 0.139 O
0.463 0.750 0.584 O
0.537 0.250 0.416 O
0.542 0.750 0.861 O
0.556 0.750 0.212 O
0.623 0.004 0.638 O
0.623 0.496 0.638 O
0.689 0.002 0.349 O
0.689 0.498 0.349 O
0.720 0.750 0.077 O
0.780 0.250 0.577 O
0.811 0.502 0.849 O
0.811 0.998 0.849 O
0.877 0.504 0.138 O
0.877 0.996 0.138 O
0.944 0.250 0.712 O
0.958 0.250 0.361 O
0.963 0.750 0.916 O
```

Output
**V**: 16.7 Å³ per atom
**E above lowest polymorph**: 0.00 eV per formula unit
**DFT formation energy**: -2.431 eV per atom

(3)
A relaxed Ba2CoP2O8 crystal, computed with PBE+U.

```
Ba2CoP2O8
1.0
5.386 0.000 0.000
0.000 9.020 0.000
-5.104 0.000 16.318
Ba Co P O
8 4 8 32
direct
0.021 0.156 0.269 Ba
0.021 0.344 0.769 Ba
0.190 0.702 0.981 Ba
0.190 0.798 0.481 Ba
0.810 0.202 0.519 Ba
0.810 0.298 0.019 Ba
0.979 0.656 0.231 Ba
0.979 0.844 0.731 Ba
0.404 0.017 0.136 Co
0.404 0.483 0.636 Co
0.596 0.517 0.364 Co
0.596 0.983 0.864 Co
0.185 0.093 0.923 P
0.185 0.407 0.423 P
0.418 0.110 0.666 P
0.418 0.390 0.166 P
0.582 0.610 0.834 P
0.582 0.890 0.334 P
0.815 0.593 0.577 P
0.815 0.907 0.077 P
0.104 0.633 0.625 O
0.104 0.867 0.125 O
0.217 0.099 0.015 O
0.217 0.401 0.515 O
0.242 0.031 0.588 O
0.242 0.469 0.088 O
0.250 0.562 0.393 O
0.250 0.938 0.893 O
0.293 0.612 0.834 O
0.293 0.888 0.334 O
0.314 0.229 0.170 O
0.314 0.271 0.670 O
0.367 0.208 0.900 O
0.367 0.292 0.400 O
0.394 0.025 0.743 O
0.394 0.475 0.243 O
0.606 0.525 0.757 O
0.606 0.975 0.257 O
0.633 0.708 0.600 O
0.633 0.792 0.100 O
0.686 0.729 0.330 O
0.686 0.771 0.830 O
0.707 0.112 0.666 O
0.707 0.388 0.166 O
0.750 0.062 0.107 O
0.750 0.438 0.607 O
0.758 0.531 0.912 O
0.758 0.969 0.412 O
0.783 0.599 0.485 O
0.783 0.901 0.985 O
0.896 0.133 0.875 O
0.896 0.367 0.375 O
```

Output
**V**: 15.2 Å³ per atom
**DFT formation energy**: -2.931 eV per atom

(4)
A relaxed V4O3F9 crystal, computed with PBE+U.

```
V4O3F9
1.0
5.221 0.000 0.000
2.604 4.746 0.000
2.597 -1.361 17.294
V O F
8 6 18
direct
0.000 0.000 0.000 V
0.016 0.502 0.500 V
0.231 0.405 0.129 V
0.268 0.904 0.634 V
0.486 0.274 0.757 V
0.519 0.767 0.252 V
0.778 0.637 0.877 V
0.812 0.130 0.376 V
0.169 0.943 0.335 O
0.191 0.419 0.830 O
0.348 0.049 0.706 O
0.867 0.811 0.960 O
0.871 0.589 0.168 O
0.876 0.320 0.460 O
0.185 0.725 0.546 F
0.186 0.220 0.040 F
0.238 0.705 0.065 F
0.245 0.197 0.564 F
0.296 0.574 0.688 F
0.309 0.068 0.186 F
0.352 0.859 0.918 F
0.359 0.543 0.212 F
0.370 0.359 0.419 F
0.677 0.482 0.790 F
0.677 0.991 0.293 F
0.679 0.187 0.088 F
0.693 0.673 0.588 F
0.733 0.463 0.316 F
0.737 0.957 0.813 F
0.794 0.333 0.942 F
0.805 0.840 0.443 F
0.836 0.106 0.669 F
```

Output
**V**: 13.4 Å³ per atom
**E above lowest polymorph**: 0.02 eV per formula unit
**DFT formation energy**: -2.954 eV per atom